# 1
# SrI2O, relaxed, DFT GGA-PBE
# - Magnetization: 0.00 μB/cell
# - E_tot: -3.83 eV per atom
# - Formation energy: -1.585 eV per atom
data_SrI2O
_chemical_formula_sum 'Sr4 I8 O4'
_cell_length_a 13.571
_cell_length_b 4.455
_cell_length_c 8.832
_cell_angle_alpha 90.00
_cell_angle_beta 90.00
_cell_angle_gamma 90.00
_space_group_name_H-M_alt 'P n m a'
_space_group_IT_number 62
_space_group_name_Hall '-P 2ac 2n'
loop_
_atom_site_label
_atom_site_type_symbol
_atom_site_fract_x
_atom_site_fract_y
_atom_site_fract_z
_atom_site_occupancy
Sr1 Sr 0.151 0.250 0.106 1
I1 I 0.106 0.750 0.814 1
I2 I 0.124 0.750 0.437 1
O1 O 0.145 0.750 0.212 1

# 2
# DyAl8Fe4, relaxed, DFT GGA-PBE
# - E_tot: -5.70 eV per atom
# - Formation energy: -0.431 eV per atom
data_DyAl8Fe4
_chemical_formula_sum 'Dy2 Al16 Fe8'
_cell_length_a 8.697
_cell_length_b 8.697
_cell_length_c 5.022
_cell_angle_alpha 90.00
_cell_angle_beta 90.00
_cell_angle_gamma 90.00
_space_group_name_H-M_alt 'I 4/m m m'
_space_group_IT_number 139
_space_group_name_Hall '-I 4 2'
loop_
_atom_site_label
_atom_site_type_symbol
_atom_site_fract_x
_atom_site_fract_y
_atom_site_fract_z
_atom_site_occupancy
Dy1 Dy 0.000 0.000 0.000 1
Al1 Al 0.000 0.221 0.500 1
Al2 Al 0.000 0.340 0.000 1
Fe1 Fe 0.250 0.250 0.250 1

# 3
# Sm2TlI5, relaxed, DFT GGA-PBE
# - Magnetization: 7.92 μB/cell
# - E_tot: -3.42 eV per atom
# - Formation energy: -1.229 eV per atom
data_Sm2TlI5
_chemical_formula_sum 'Sm8 Tl4 I20'
_cell_length_a 9.688
_cell_length_b 8.493
_cell_length_c 14.224
_cell_angle_alpha 90.00
_cell_angle_beta 91.20
_cell_angle_gamma 90.00
_space_group_name_H-M_alt 'P 1 21/c 1'
_space_group_IT_number 14
_space_group_name_Hall '-P 2ybc'
loop_
_atom_site_label
_atom_site_type_symbol
_atom_site_fract_x
_atom_site_fract_y
_atom_site_fract_z
_atom_site_occupancy
Sm1 Sm 0.011 0.050 0.171 1
Sm2 Sm 0.242 0.088 0.508 1
Tl1 Tl 0.490 0.063 0.168 1
I1 I 0.040 0.664 0.106 1
I2 I 0.216 0.657 0.824 1
I3 I 0.218 0.035 0.998 1
I4 I 0.226 0.176 0.724 1
I5 I 0.470 0.658 0.091 1

# 4
# Cs3TbCl6, relaxed, DFT GGA-PBE
# - E_tot: -3.96 eV per atom
# - Formation energy: -2.483 eV per atom
data_Cs3TbCl6
_chemical_formula_sum 'Cs12 Tb4 Cl24'
_cell_length_a 11.884
_cell_length_b 11.884
_cell_length_c 11.884
_cell_angle_alpha 90.00
_cell_angle_beta 90.00
_cell_angle_gamma 90.00
_space_group_name_H-M_alt 'F m -3 m'
_space_group_IT_number 225
_space_group_name_Hall '-F 4 2 3'
loop_
_atom_site_label
_atom_site_type_symbol
_atom_site_fract_x
_atom_site_fract_y
_atom_site_fract_z
_atom_site_occupancy
Cs1 Cs 0.000 0.000 0.000 1
Cs2 Cs 0.250 0.250 0.250 1
Tb1 Tb 0.000 0.000 0.500 1
Cl1 Cl 0.000 0.000 0.277 1

# 5
# LiInN, relaxed, DFT GGA-PBE
# - Magnetization: 0.00 μB/cell
# - E_tot: -4.11 eV per atom
# - Formation energy: 0.099 eV per atom
data_LiInN
_chemical_formula_sum 'Li1 In1 N1'
_cell_length_a 3.6648
_cell_length_b 3.6648
_cell_length_c 4.1868
_cell_angle_alpha 90.00
_cell_angle_beta 90.00
_cell_angle_gamma 120.00
_space_group_name_H-M_alt 'P -6 m 2'
_space_group_IT_number 187
_space_group_name_Hall 'P -6 2'
loop_
_atom_site_label
_atom_site_type_symbol
_atom_site_fract_x
_atom_site_fract_y
_atom_site_fract_z
_atom_site_occupancy
Li1 Li 0.0000 0.0000 0.0000 1
In1 In 0.6667 0.3333 0.5000 1
N1 N 0.6667 0.3333 0.0000 1

# 6
# AlB2P2H7O13, relaxed, DFT GGA-PBE
# - Magnetization: 0.00 μB/cell
# - E_tot: -6.29 eV per atom
# - Formation energy: -2.011 eV per atom
data_AlB2P2H7O13
_chemical_formula_sum 'Al4 B8 P8 H28 O52'
_cell_length_a 19.377
_cell_length_b 7.827
_cell_length_c 7.268
_cell_angle_alpha 90.00
_cell_angle_beta 95.14
_cell_angle_gamma 90.00
_space_group_name_H-M_alt 'C 1 2/c 1'
_space_group_IT_number 15
_space_group_name_Hall '-C 2yc'
loop_
_atom_site_label
_atom_site_type_symbol
_atom_site_fract_x
_atom_site_fract_y
_atom_site_fract_z
_atom_site_occupancy
Al1 Al 0.250 0.250 0.000 1
B1 B 0.109 0.218 0.205 1
P1 P 0.167 0.085 0.570 1
H1 H 0.000 0.310 0.250 1
H2 H 0.033 0.130 0.703 1
H3 H 0.176 0.336 0.683 1
H4 H 0.177 0.411 0.185 1
O1 O 0.000 0.208 0.750 1
O2 O 0.053 0.308 0.177 1
O3 O 0.112 0.029 0.144 1
O4 O 0.140 0.207 0.420 1
O5 O 0.173 0.303 0.119 1
O6 O 0.192 0.227 0.735 1
O7 O 0.233 0.017 0.033 1

# 7
# Sc2Te3, relaxed, DFT GGA-PBE
# - E_tot: -5.61 eV per atom
# - Formation energy: -1.445 eV per atom
data_Sc2Te3
_chemical_formula_sum 'Sc4 Te6'
_cell_length_a 4.101
_cell_length_b 5.874
_cell_length_c 12.720
_cell_angle_alpha 90.00
_cell_angle_beta 90.00
_cell_angle_gamma 90.00
_space_group_name_H-M_alt 'I m m m'
_space_group_IT_number 71
_space_group_name_Hall '-I 2 2'
loop_
_atom_site_label
_atom_site_type_symbol
_atom_site_fract_x
_atom_site_fract_y
_atom_site_fract_z
_atom_site_occupancy
Sc1 Sc 0.000 0.000 0.165 1
Te1 Te 0.000 0.500 0.172 1
Te2 Te 0.000 0.500 0.500 1

# 8
# ThSi2Pd2, relaxed, DFT GGA-PBE
# - E_tot: -6.68 eV per atom
# - Formation energy: -0.950 eV per atom
data_ThSi2Pd2
_chemical_formula_sum 'Th2 Si4 Pd4'
_cell_length_a 4.222
_cell_length_b 4.222
_cell_length_c 10.135
_cell_angle_alpha 90.00
_cell_angle_beta 90.00
_cell_angle_gamma 90.00
_space_group_name_H-M_alt 'I 4/m m m'
_space_group_IT_number 139
_space_group_name_Hall '-I 4 2'
loop_
_atom_site_label
_atom_site_type_symbol
_atom_site_fract_x
_atom_site_fract_y
_atom_site_fract_z
_atom_site_occupancy
Th1 Th 0.000 0.000 0.000 1
Si1 Si 0.000 0.000 0.383 1
Pd1 Pd 0.000 0.500 0.250 1

# 9
# CrCuP2S6, relaxed, DFT GGA-PBE
# - Magnetization: 12.00 μB/cell
# - E_tot: -5.29 eV per atom
# - Formation energy: -0.656 eV per atom
data_CrCuP2S6
_chemical_formula_sum 'Cr4 Cu4 P8 S24'
_cell_length_a 5.985
_cell_length_b 10.378
_cell_length_c 14.530
_cell_angle_alpha 90.00
_cell_angle_beta 105.07
_cell_angle_gamma 90.00
_space_group_name_H-M_alt 'P 1 21/c 1'
_space_group_IT_number 14
_space_group_name_Hall '-P 2ybc'
loop_
_atom_site_label
_atom_site_type_symbol
_atom_site_fract_x
_atom_site_fract_y
_atom_site_fract_z
_atom_site_occupancy
Cr1 Cr 0.248 0.081 0.251 1
Cu1 Cu 0.315 0.748 0.350 1
P1 P 0.193 0.083 0.670 1
P2 P 0.290 0.089 0.826 1
S1 S 0.013 0.571 0.638 1
S2 S 0.014 0.072 0.367 1
S3 S 0.042 0.237 0.130 1
S4 S 0.462 0.243 0.362 1
S5 S 0.482 0.066 0.135 1
S6 S 0.498 0.564 0.869 1

# 10
# CeAl2Ge2, relaxed, DFT GGA-PBE
# - Magnetization: 1.03 μB/cell
# - E_tot: -4.94 eV per atom
# - Formation energy: -0.409 eV per atom
data_CeAl2Ge2
_chemical_formula_sum 'Ce1 Al2 Ge2'
_cell_length_a 4.2912
_cell_length_b 4.2912
_cell_length_c 6.8758
_cell_angle_alpha 90.00
_cell_angle_beta 90.00
_cell_angle_gamma 120.00
_space_group_name_H-M_alt 'P -3 m 1'
_space_group_IT_number 164
_space_group_name_Hall '-P 3 2"'
loop_
_atom_site_label
_atom_site_type_symbol
_atom_site_fract_x
_atom_site_fract_y
_atom_site_fract_z
_atom_site_occupancy
Ce1 Ce 0.0000 0.0000 0.0000 1
Al1 Al 0.3333 0.6667 0.6421 1
Ge1 Ge 0.3333 0.6667 0.2644 1

# 11
# CrN2, relaxed, DFT GGA-PBE
# - Magnetization: 1.90 μB/cell
# - E_tot: -8.62 eV per atom
# - Formation energy: -0.085 eV per atom
data_CrN2
_chemical_formula_sum 'Cr32 N64'
_cell_length_a 13.873
_cell_length_b 13.873
_cell_length_c 14.393
_cell_angle_alpha 90.00
_cell_angle_beta 90.00
_cell_angle_gamma 90.00
_space_group_name_H-M_alt 'P 42/m m c'
_space_group_IT_number 131
_space_group_name_Hall '-P 4c 2'
loop_
_atom_site_label
_atom_site_type_symbol
_atom_site_fract_x
_atom_site_fract_y
_atom_site_fract_z
_atom_site_occupancy
Cr1 Cr 0.000 0.124 0.117 1
Cr2 Cr 0.123 0.381 0.384 1
Cr3 Cr 0.190 0.190 0.250 1
N1 N 0.000 0.000 0.132 1
N2 N 0.000 0.148 0.000 1
N3 N 0.000 0.369 0.372 1
N4 N 0.099 0.174 0.171 1
N5 N 0.148 0.359 0.500 1
N6 N 0.151 0.500 0.359 1
N7 N 0.174 0.299 0.308 1

# 12
# Nd2ZnSb4, relaxed, DFT GGA-PBE
# - E_tot: -4.63 eV per atom
# - Formation energy: -0.835 eV per atom
data_Nd2ZnSb4
_chemical_formula_sum 'Nd2 Zn1 Sb4'
_cell_length_a 4.383
_cell_length_b 4.383
_cell_length_c 10.251
_cell_angle_alpha 90.00
_cell_angle_beta 90.00
_cell_angle_gamma 90.00
_space_group_name_H-M_alt 'P -4 m 2'
_space_group_IT_number 115
_space_group_name_Hall 'P -4 -2'
loop_
_atom_site_label
_atom_site_type_symbol
_atom_site_fract_x
_atom_site_fract_y
_atom_site_fract_z
_atom_site_occupancy
Nd1 Nd 0.000 0.500 0.247 1
Zn1 Zn 0.500 0.500 0.500 1
Sb1 Sb 0.000 0.000 0.000 1
Sb2 Sb 0.000 0.500 0.655 1
Sb3 Sb 0.500 0.500 0.000 1

Among the records above, which one has the lowest E_tot?
CrN2